Crystalline Ni5Mo12As18 at its relaxed geometry, computed with GGA-PBE.

Cell and atoms, written as POSCAR:
```
Ni5Mo12As18
1.0
3.309 -3.245 -4.954
5.523 -3.091 -2.444
-4.376 -25.418 5.421
Ni Mo As
5 12 18
Direct
0.332 0.332 0.167
0.000 0.000 0.500
0.668 0.668 0.833
0.667 0.667 0.333
0.333 0.333 0.667
0.448 0.448 0.879
0.113 0.113 0.208
0.780 0.780 0.543
0.552 0.552 0.121
0.220 0.220 0.457
0.887 0.887 0.792
0.218 0.218 0.961
0.881 0.881 0.292
0.547 0.547 0.626
0.782 0.782 0.039
0.453 0.453 0.374
0.119 0.119 0.708
0.087 0.087 0.899
0.748 0.748 0.232
0.414 0.414 0.566
0.913 0.913 0.101
0.586 0.586 0.434
0.252 0.252 0.768
0.795 0.795 0.887
0.463 0.463 0.218
0.128 0.128 0.553
0.205 0.205 0.113
0.872 0.872 0.447
0.537 0.537 0.782
0.404 0.404 0.983
0.062 0.062 0.309
0.728 0.728 0.643
0.596 0.596 0.017
0.272 0.272 0.357
0.938 0.938 0.691
```

Summary:
Space group: C2/m (12)
Total magnetic moment (μB per formula unit): 0.00
Energy (eV per atom): -7.207
Energy of formation from the pure elements (eV per formula unit): -9.34
Calculated volume (Å³/atom): 16.11